KMg14Cu: optimized geometry, PBE.

Geometry as CIF:
```
data_KMg14Cu
_chemical_formula_sum 'K2 Mg28 Cu2'
_symmetry_space_group_name_H-M 'A m m 2'
_symmetry_Int_Tables_number 38
_symmetry_space_group_name_Hall 'A 2 -2'
_cell_length_a 10.458
_cell_length_b 6.429
_cell_length_c 11.192
_cell_angle_alpha 90.00
_cell_angle_beta 90.00
_cell_angle_gamma 90.00
loop_
_atom_site_label
_atom_site_type_symbol
_atom_site_fract_x
_atom_site_fract_y
_atom_site_fract_z
K1 K 0.000 0.000 0.000
Mg1 Mg 0.000 0.241 0.252
Mg2 Mg 0.237 0.000 0.663
Mg3 Mg 0.257 0.240 0.416
Mg4 Mg 0.265 0.000 0.170
Mg5 Mg 0.500 0.000 0.000
Mg6 Mg 0.500 0.000 0.501
Mg7 Mg 0.500 0.247 0.751
Cu1 Cu 0.000 0.000 0.500
```

***

KMg14Cu: optimized geometry, PBE.

Geometry as CIF:
```
data_KMg14Cu
_chemical_formula_sum 'K1 Mg14 Cu1'
_symmetry_space_group_name_H-M 'P -6 m 2'
_symmetry_Int_Tables_number 187
_symmetry_space_group_name_Hall 'P -6 2'
_cell_length_a 6.4605
_cell_length_b 6.4605
_cell_length_c 10.4560
_cell_angle_alpha 90.00
_cell_angle_beta 90.00
_cell_angle_gamma 120.00
loop_
_atom_site_label
_atom_site_type_symbol
_atom_site_fract_x
_atom_site_fract_y
_atom_site_fract_z
K1 K 0.0000 0.0000 0.0000
Mg1 Mg 0.0073 0.5036 0.0000
Mg2 Mg 0.1654 0.3307 0.2735
Mg3 Mg 0.5041 0.0083 0.5000
Mg4 Mg 0.6667 0.3333 0.2443
Cu1 Cu 0.0000 0.0000 0.5000
```

***

K2MgNb2Cu4S8: optimized geometry, PBE.

Geometry as CIF:
```
data_K2MgNb2Cu4S8
_chemical_formula_sum 'K2 Mg1 Nb2 Cu4 S8'
_symmetry_space_group_name_H-M 'P 1 m 1'
_symmetry_Int_Tables_number 6
_symmetry_space_group_name_Hall 'P -2y'
_cell_length_a 5.746
_cell_length_b 7.565
_cell_length_c 9.681
_cell_angle_alpha 90.00
_cell_angle_beta 102.97
_cell_angle_gamma 90.00
loop_
_atom_site_label
_atom_site_type_symbol
_atom_site_fract_x
_atom_site_fract_y
_atom_site_fract_z
K1 K 0.000 0.000 0.000
K2 K 0.453 0.500 0.756
Mg1 Mg 0.674 0.000 0.358
Nb1 Nb 0.099 0.000 0.622
Nb2 Nb 0.955 0.500 0.187
Cu1 Cu 0.023 0.255 0.409
Cu2 Cu 0.454 0.500 0.201
Cu3 Cu 0.611 0.000 0.629
S1 S 0.138 0.500 0.001
S2 S 0.263 0.500 0.398
S3 S 0.279 0.000 0.417
S4 S 0.432 0.000 0.814
S5 S 0.706 0.253 0.198
S6 S 0.859 0.248 0.620
```

***

K2MgNb2Cu4S8: optimized geometry, PBE.

Geometry as CIF:
```
data_K2MgNb2Cu4S8
_chemical_formula_sum 'K2 Mg1 Nb2 Cu4 S8'
_symmetry_space_group_name_H-M 'P 1'
_symmetry_Int_Tables_number 1
_symmetry_space_group_name_Hall 'P 1'
_cell_length_a 5.534
_cell_length_b 7.874
_cell_length_c 9.948
_cell_angle_alpha 96.96
_cell_angle_beta 103.76
_cell_angle_gamma 94.23
loop_
_atom_site_label
_atom_site_type_symbol
_atom_site_fract_x
_atom_site_fract_y
_atom_site_fract_z
K1 K 0.000 0.000 0.000
K2 K 0.181 0.624 0.613
Mg1 Mg 0.493 0.358 0.878
Nb1 Nb 0.253 0.562 0.065
Nb2 Nb 0.475 0.066 0.541
Cu1 Cu 0.379 0.801 0.311
Cu2 Cu 0.410 0.284 0.336
Cu3 Cu 0.783 0.564 0.124
Cu4 Cu 0.967 0.075 0.528
S1 S 0.150 0.045 0.339
S2 S 0.151 0.532 0.285
S3 S 0.297 0.079 0.735
S4 S 0.499 0.321 0.123
S5 S 0.536 0.806 0.111
S6 S 0.693 0.829 0.518
S7 S 0.728 0.309 0.533
S8 S 0.885 0.549 0.889
```

***

K6MgCuSi2O8: optimized geometry, PBE.

Geometry as CIF:
```
data_K6MgCuSi2O8
_chemical_formula_sum 'K6 Mg1 Cu1 Si2 O8'
_symmetry_space_group_name_H-M 'P 1'
_symmetry_Int_Tables_number 1
_symmetry_space_group_name_Hall 'P 1'
_cell_length_a 6.435
_cell_length_b 7.388
_cell_length_c 7.477
_cell_angle_alpha 83.10
_cell_angle_beta 74.74
_cell_angle_gamma 84.61
loop_
_atom_site_label
_atom_site_type_symbol
_atom_site_fract_x
_atom_site_fract_y
_atom_site_fract_z
K1 K 0.000 0.000 0.000
K2 K 0.038 0.493 0.758
K3 K 0.197 0.296 0.252
K4 K 0.486 0.638 0.913
K5 K 0.528 0.874 0.275
K6 K 0.650 0.446 0.401
Mg1 Mg 0.420 0.074 0.679
Cu1 Cu 0.848 0.974 0.578
Si1 Si 0.052 0.728 0.344
Si2 Si 0.607 0.204 0.876
O1 O 0.105 0.948 0.310
O2 O 0.258 0.597 0.391
O3 O 0.418 0.319 0.780
O4 O 0.507 0.997 0.922
O5 O 0.649 0.291 0.051
O6 O 0.833 0.189 0.701
O7 O 0.834 0.723 0.533
O8 O 0.982 0.660 0.166
```

***

K2MgV2Cu4S8: optimized geometry, PBE.

Geometry as CIF:
```
data_K2MgV2Cu4S8
_chemical_formula_sum 'K2 Mg1 V2 Cu4 S8'
_symmetry_space_group_name_H-M 'P 1 m 1'
_symmetry_Int_Tables_number 6
_symmetry_space_group_name_Hall 'P -2y'
_cell_length_a 5.548
_cell_length_b 7.471
_cell_length_c 9.618
_cell_angle_alpha 90.00
_cell_angle_beta 104.32
_cell_angle_gamma 90.00
loop_
_atom_site_label
_atom_site_type_symbol
_atom_site_fract_x
_atom_site_fract_y
_atom_site_fract_z
K1 K 0.000 0.000 0.000
K2 K 0.447 0.500 0.761
Mg1 Mg 0.792 0.500 0.408
V1 V 0.338 0.500 0.139
V2 V 0.526 0.000 0.585
Cu1 Cu 0.027 0.000 0.580
Cu2 Cu 0.439 0.241 0.359
Cu3 Cu 0.834 0.500 0.129
S1 S 0.024 0.500 0.948
S2 S 0.196 0.500 0.344
S3 S 0.207 0.000 0.385
S4 S 0.372 0.000 0.773
S5 S 0.584 0.259 0.154
S6 S 0.763 0.246 0.575
```

***

K5Na3Cu8S8O36: optimized geometry, PBE.

Geometry as CIF:
```
data_K5Na3Cu8S8O36
_chemical_formula_sum 'K10 Na6 Cu16 S16 O72'
_symmetry_space_group_name_H-M 'P 1 2/c 1'
_symmetry_Int_Tables_number 13
_symmetry_space_group_name_Hall '-P 2yc'
_cell_length_a 14.188
_cell_length_b 4.986
_cell_length_c 24.110
_cell_angle_alpha 90.00
_cell_angle_beta 90.31
_cell_angle_gamma 90.00
loop_
_atom_site_label
_atom_site_type_symbol
_atom_site_fract_x
_atom_site_fract_y
_atom_site_fract_z
K1 K 0.000 0.208 0.250
K2 K 0.112 0.258 0.454
K3 K 0.425 0.213 0.435
Na1 Na 0.245 0.256 0.851
Na2 Na 0.500 0.145 0.250
Cu1 Cu 0.148 0.274 0.114
Cu2 Cu 0.218 0.273 0.696
Cu3 Cu 0.287 0.228 0.581
Cu4 Cu 0.348 0.218 0.155
S1 S 0.015 0.236 0.624
S2 S 0.247 0.233 0.276
S3 S 0.272 0.255 0.002
S4 S 0.486 0.297 0.645
O1 O 0.033 0.057 0.109
O2 O 0.043 0.289 0.682
O3 O 0.072 0.408 0.584
O4 O 0.086 0.282 0.887
O5 O 0.173 0.196 0.017
O6 O 0.182 0.437 0.250
O7 O 0.205 0.040 0.764
O8 O 0.235 0.002 0.140
O9 O 0.249 0.265 0.337
O10 O 0.254 0.495 0.134
O11 O 0.290 0.191 0.943
O12 O 0.292 0.449 0.510
O13 O 0.338 0.096 0.038
O14 O 0.342 0.260 0.251
O15 O 0.416 0.231 0.841
O16 O 0.420 0.121 0.678
O17 O 0.466 0.273 0.585
O18 O 0.468 0.414 0.162
```

***

KNb3CuO9: optimized geometry, PBE.

Geometry as CIF:
```
data_KNb3CuO9
_chemical_formula_sum 'K4 Nb12 Cu4 O36'
_symmetry_space_group_name_H-M 'P n c 2'
_symmetry_Int_Tables_number 30
_symmetry_space_group_name_Hall 'P 2 -2bc'
_cell_length_a 8.980
_cell_length_b 10.270
_cell_length_c 7.840
_cell_angle_alpha 90.00
_cell_angle_beta 90.00
_cell_angle_gamma 90.00
loop_
_atom_site_label
_atom_site_type_symbol
_atom_site_fract_x
_atom_site_fract_y
_atom_site_fract_z
K1 K 0.084 0.247 0.000
Nb1 Nb 0.197 0.562 0.765
Nb2 Nb 0.205 0.562 0.256
Nb3 Nb 0.431 0.247 0.753
Cu1 Cu 0.500 0.000 0.492
Cu2 Cu 0.500 0.000 0.999
O1 O 0.000 0.000 0.182
O2 O 0.000 0.000 0.805
O3 O 0.147 0.558 0.994
O4 O 0.148 0.749 0.243
O5 O 0.275 0.119 0.703
O6 O 0.275 0.123 0.278
O7 O 0.278 0.552 0.490
O8 O 0.416 0.613 0.812
O9 O 0.416 0.615 0.170
O10 O 0.443 0.184 0.992
```

***

K3Nb2Cu3S8: optimized geometry, PBE.

Geometry as CIF:
```
data_K3Nb2Cu3S8
_chemical_formula_sum 'K12 Nb8 Cu12 S32'
_symmetry_space_group_name_H-M 'C 1 2/c 1'
_symmetry_Int_Tables_number 15
_symmetry_space_group_name_Hall '-C 2yc'
_cell_length_a 23.855
_cell_length_b 5.574
_cell_length_c 14.524
_cell_angle_alpha 90.00
_cell_angle_beta 120.33
_cell_angle_gamma 90.00
loop_
_atom_site_label
_atom_site_type_symbol
_atom_site_fract_x
_atom_site_fract_y
_atom_site_fract_z
K1 K 0.000 0.000 0.000
K2 K 0.193 0.460 0.095
Nb1 Nb 0.125 0.283 0.779
Cu1 Cu 0.000 0.279 0.750
Cu2 Cu 0.122 0.218 0.280
S1 S 0.038 0.479 0.161
S2 S 0.089 0.046 0.871
S3 S 0.156 0.030 0.687
S4 S 0.209 0.468 0.390
```

***

# KNbCu2Se4 PBE optimized geometry
data_KNbCu2Se4
_chemical_formula_sum 'K4 Nb4 Cu8 Se16'
_symmetry_space_group_name_H-M 'A m a 2'
_symmetry_Int_Tables_number 40
_symmetry_space_group_name_Hall 'A 2 -2a'
_cell_length_a 7.794
_cell_length_b 19.229
_cell_length_c 5.727
_cell_angle_alpha 90.00
_cell_angle_beta 90.00
_cell_angle_gamma 90.00
loop_
_atom_site_label
_atom_site_type_symbol
_atom_site_fract_x
_atom_site_fract_y
_atom_site_fract_z
K1 K 0.250 0.184 0.000
Nb1 Nb 0.250 0.391 0.260
Cu1 Cu 0.000 0.000 0.744
Cu2 Cu 0.250 0.393 0.760
Se1 Se 0.006 0.107 0.511
Se2 Se 0.250 0.289 0.512
Se3 Se 0.250 0.497 0.506
# Piezoelectric modulus e_max in C/m²: 1.08

***

| no. | formation energy from the elements (meV/atom) | total DFT energy (no corrections) (eV per atom) |
| --- | --- | --- |
| 1 | 123 | -1.60 |
| 2 | 128 | -1.60 |
| 3 | -958 | -5.05 |
| 4 | -960 | -5.05 |
| 5 | -2119 | -5.30 |
| 6 | -1000 | -4.97 |
| 7 | -1804 | -5.62 |
| 8 | -2658 | -7.93 |
| 9 | -1201 | -5.26 |
| 10 | -967 | -4.91 |